# NaMgZrPS2O12

NaMgZrPS2O12 after structural relaxation (GGA-PBE, the Materials Project).

abc: 15.2381 8.8001 23.1502
angles: 90.00 90.03 90.00
With the nearest neighbours (Å) after each atom.
Space group Cc (No. 9)
Symmetry-distinct sites (fractional):
Na: 0.0000 0.9998 0.0000 x4  6 O 2.52-2.77
Na: 0.1653 0.4941 0.1666 x4  6 O 2.50-2.77
Na: 0.3264 0.0069 0.3334 x4  6 O 2.50-2.78
Mg: 0.1663 0.4892 0.3108 x4  5 O 1.94-2.16
Mg: 0.3211 0.0026 0.4777 x4  5 O 1.96-2.16
Mg: 0.4946 0.4987 0.6444 x4  6 O 1.99-2.15
Zr: 0.1617 0.4969 0.5157 x4  6 O 2.02-2.13
Zr: 0.3251 0.0136 0.1825 x4  6 O 1.97-2.21
Zr: 0.4951 0.4995 0.3491 x4  6 O 2.03-2.14
P: 0.1654 0.2084 0.4109 x4  4 O 1.50-1.58
P: 0.1793 0.1414 0.0770 x4  4 O 1.50-1.59
P: 0.3489 0.3633 0.2441 x4  4 O 1.51-1.60
S: 0.0151 0.3602 0.9114 x4  4 O 1.45-1.52
S: 0.1392 0.1517 0.7451 x4  4 O 1.46-1.52
S: 0.3059 0.3494 0.9116 x4  4 O 1.46-1.51
S: 0.3321 0.2894 0.5787 x4  4 O 1.46-1.52
S: 0.4720 0.1493 0.0778 x4  4 O 1.45-1.52
S: 0.4973 0.2079 0.7446 x4  4 O 1.46-1.51
O: 0.0074 0.1888 0.9067 x4  1 S 1.52
O: 0.0095 0.1972 0.1938 x4  1 S 1.46
O: 0.0573 0.4204 0.8599 x4  1 S 1.45
O: 0.0616 0.4248 0.5735 x4  1 S 1.52
O: 0.0706 0.3807 0.9648 x4  1 S 1.51
O: 0.0731 0.3916 0.2531 x4  1 S 1.46
O: 0.0796 0.1077 0.4055 x4  1 P 1.58
O: 0.0875 0.1192 0.6937 x4  1 S 1.46
O: 0.0889 0.0733 0.0876 x4  1 P 1.52
O: 0.1014 0.0774 0.7981 x4  1 S 1.51
O: 0.1481 0.3091 0.4665 x4  1 P 1.58
O: 0.1493 0.3146 0.7541 x4  1 S 1.46
O: 0.1732 0.3199 0.0720 x4  1 P 1.58
O: 0.1746 0.3084 0.3586 x4  1 P 1.50
O: 0.2254 0.0765 0.0254 x4  1 P 1.50
O: 0.2291 0.0791 0.7400 x4  1 S 1.52
O: 0.2388 0.1177 0.1328 x4  1 P 1.59
O: 0.2448 0.1061 0.4193 x4  1 P 1.52
O: 0.2502 0.3872 0.5731 x4  1 S 1.52
O: 0.2531 0.3789 0.8603 x4  1 S 1.46
O: 0.2573 0.4278 0.2523 x4  1 P 1.52
O: 0.2672 0.4217 0.9646 x4  1 S 1.50
O: 0.3157 0.1963 0.6317 x4  1 S 1.50
O: 0.3189 0.1869 0.9198 x4  1 S 1.46
O: 0.3419 0.1827 0.2401 x4  1 P 1.60
O: 0.3432 0.1969 0.5271 x4  1 S 1.46
O: 0.3941 0.4243 0.1911 x4  1 P 1.51
O: 0.3949 0.4249 0.9066 x4  1 S 1.51
O: 0.4072 0.3852 0.2997 x4  1 P 1.58
O: 0.4076 0.3900 0.5861 x4  1 S 1.46
O: 0.4154 0.1133 0.7393 x4  1 S 1.50
O: 0.4205 0.1165 0.0265 x4  1 S 1.45
O: 0.4282 0.0741 0.4204 x4  1 S 1.46
O: 0.4343 0.0765 0.1312 x4  1 S 1.51
O: 0.4820 0.3031 0.7980 x4  1 S 1.51
O: 0.4834 0.3124 0.0862 x4  1 S 1.46

Values from the calculation:
Its calculated formation energy is -2.619 eV/atom. The calculation puts the total energy at -6.86 eV per atom.